The following is a DFT calculation (PBE+U) of a relaxed Sr2VMoO6 crystal.

Unit cell a=6.9443 b=6.9443 c=5.6540 alpha=90.06 beta=90.06 gamma=71.04
Fractional coordinates of all 20 atoms:
1 Sr 0.2469 0.7531 0.0000
2 Sr 0.4981 0.9966 0.4951
3 Sr 0.7531 0.2469 0.0000
4 Sr 0.9966 0.4981 0.4951
5 V 0.2487 0.2487 0.9978
6 V 0.7498 0.7498 0.9958
7 Mo 0.4978 0.4978 0.4988
8 Mo 0.9982 0.9982 0.4990
9 O 0.1218 0.1218 0.2501
10 O 0.1251 0.1251 0.7514
11 O 0.2532 0.7443 0.4972
12 O 0.3732 0.3732 0.2440
13 O 0.3773 0.3773 0.7393
14 O 0.5067 0.9869 0.0010
15 O 0.6217 0.6217 0.2542
16 O 0.6247 0.6247 0.7508
17 O 0.7443 0.2532 0.4972
18 O 0.8702 0.8702 0.2476
19 O 0.8716 0.8716 0.7531
20 O 0.9869 0.5067 0.0010

Space group: Cm (8)
Formation energy (kJ per mole of atoms): -264.8
Total magnetic moment (μB/cell): 6.00
Energy above the most stable polymorph in this dataset (meV per atom): 11.1


The following is a DFT calculation (PBE+U) of a relaxed Rb2MoO2F4 crystal.

Unit cell a=7.2045 b=7.9604 c=7.9604 alpha=134.45 beta=90.00 gamma=90.00
Fractional coordinates of all 18 atoms:
1 Rb 0.2500 0.0556 0.9444
2 Rb 0.2500 0.7238 0.2542
3 Rb 0.7500 0.2542 0.7238
4 Rb 0.7500 0.9444 0.0556
5 Mo 0.2500 0.3920 0.6187
6 Mo 0.7500 0.6187 0.3920
7 O 0.0623 0.5702 0.8043
8 O 0.4377 0.5702 0.8043
9 O 0.5623 0.8043 0.5702
10 O 0.9377 0.8043 0.5702
11 F 0.0708 0.1202 0.3607
12 F 0.2500 0.2177 0.7145
13 F 0.2500 0.4771 0.4428
14 F 0.4292 0.1202 0.3607
15 F 0.5708 0.3607 0.1202
16 F 0.7500 0.4428 0.4771
17 F 0.7500 0.7145 0.2177
18 F 0.9292 0.3607 0.1202

Space group: Ama2 (40)
Formation energy (kJ per mole of atoms): -259.9
Total magnetic moment (μB/cell): 0.00
Energy above the most stable polymorph in this dataset (meV per atom): 0.0


The following is a DFT calculation (PBE+U) of a relaxed Ba2NdMoO6 crystal.

Unit cell a=6.1389 b=6.1389 c=6.1389 alpha=120.69 beta=120.69 gamma=88.81
Fractional coordinates of all 10 atoms:
1 Ba 0.2500 0.7500 0.5000
2 Ba 0.7500 0.2500 0.5000
3 Nd 0.0000 0.0000 0.0000
4 Mo 0.5000 0.5000 0.0000
5 O 0.2355 0.3133 0.5488
6 O 0.2663 0.2663 0.0000
7 O 0.3133 0.7645 0.0779
8 O 0.6867 0.2355 0.9221
9 O 0.7337 0.7337 0.0000
10 O 0.7645 0.6867 0.4512

Space group: I4/m (87)
Formation energy (kJ per mole of atoms): -287.8
Total magnetic moment (μB/cell): 1.00


The following is a DFT calculation (PBE+U) of a relaxed Li2MoO4 crystal.

Unit cell a=14.5563 b=14.5563 c=9.7256 alpha=90.00 beta=90.00 gamma=120.00
Fractional coordinates of all 126 atoms:
1 Li 0.0190 0.4727 0.1647
2 Li 0.0249 0.4771 0.8336
3 Li 0.1234 0.3120 0.4975
4 Li 0.1225 0.3134 0.8296
5 Li 0.1414 0.1198 0.0004
6 Li 0.1436 0.1178 0.3300
7 Li 0.1886 0.8766 0.8309
8 Li 0.1909 0.8775 0.1629
9 Li 0.2104 0.6869 0.6624
10 Li 0.2112 0.6842 0.3350
11 Li 0.3131 0.5234 0.3290
12 Li 0.3158 0.5270 0.0016
13 Li 0.3539 0.1452 0.8267
14 Li 0.3580 0.1415 0.4978
15 Li 0.4522 0.9751 0.1669
16 Li 0.4536 0.9810 0.4980
17 Li 0.4730 0.7888 0.6683
18 Li 0.4766 0.7896 0.9957
19 Li 0.5229 0.5478 0.5003
20 Li 0.5273 0.5464 0.8314
21 Li 0.5449 0.3519 0.0000
22 Li 0.5460 0.3567 0.3294
23 Li 0.6433 0.1894 0.9961
24 Li 0.6481 0.1930 0.6667
25 Li 0.6866 0.8091 0.4963
26 Li 0.6880 0.8114 0.1642
27 Li 0.7835 0.6420 0.8311
28 Li 0.7913 0.6461 0.1600
29 Li 0.8070 0.4551 0.3333
30 Li 0.8106 0.4540 0.6628
31 Li 0.8548 0.2087 0.4933
32 Li 0.8585 0.2165 0.1644
33 Li 0.8802 0.0216 0.6671
34 Li 0.8822 0.0259 0.9967
35 Li 0.9741 0.8564 0.6633
36 Li 0.9784 0.8586 0.3338
37 Mo 0.0180 0.4703 0.4976
38 Mo 0.1201 0.3132 0.1638
39 Mo 0.1379 0.1193 0.6649
40 Mo 0.1930 0.8799 0.4972
41 Mo 0.2133 0.6838 0.9998
42 Mo 0.3162 0.5295 0.6665
43 Mo 0.3527 0.1361 0.1616
44 Mo 0.4523 0.9820 0.8309
45 Mo 0.4705 0.7867 0.3331
46 Mo 0.5297 0.5477 0.1643
47 Mo 0.5498 0.3545 0.6626
48 Mo 0.6455 0.1953 0.3293
49 Mo 0.6868 0.8070 0.8305
50 Mo 0.7833 0.6473 0.4949
51 Mo 0.8047 0.4502 0.9959
52 Mo 0.8639 0.2167 0.8282
53 Mo 0.8807 0.0186 0.3316
54 Mo 0.9814 0.8621 0.9983
55 O 0.0072 0.0053 0.6681
56 O 0.0070 0.3316 0.1620
57 O 0.0875 0.5394 0.3442
58 O 0.0877 0.5403 0.6508
59 O 0.0990 0.5530 0.0019
60 O 0.1119 0.8773 0.9963
61 O 0.1209 0.2440 0.0110
62 O 0.1208 0.2442 0.3175
63 O 0.1227 0.2346 0.6629
64 O 0.1231 0.8791 0.3443
65 O 0.1234 0.8792 0.6508
66 O 0.2062 0.7634 0.4971
67 O 0.2093 0.1202 0.5129
68 O 0.2086 0.1240 0.8191
69 O 0.2092 0.7504 0.8454
70 O 0.2111 0.7519 0.1530
71 O 0.2226 0.1209 0.1641
72 O 0.2366 0.4429 0.1638
73 O 0.2481 0.4592 0.8197
74 O 0.2496 0.4588 0.5121
75 O 0.3246 0.9930 0.4953
76 O 0.3290 0.6694 0.9993
77 O 0.3306 0.6596 0.6659
78 O 0.3346 0.0048 0.1633
79 O 0.3395 0.0006 0.8294
80 O 0.3404 0.6710 0.3326
81 O 0.4193 0.2058 0.0067
82 O 0.4228 0.2071 0.3141
83 O 0.4340 0.2246 0.6601
84 O 0.4470 0.5460 0.6686
85 O 0.4519 0.9125 0.6775
86 O 0.4525 0.9123 0.9841
87 O 0.4540 0.9010 0.3353
88 O 0.4597 0.5475 0.3174
89 O 0.4606 0.5481 0.0109
90 O 0.5393 0.4292 0.1637
91 O 0.5408 0.7889 0.4863
92 O 0.5412 0.7908 0.1788
93 O 0.5475 0.4210 0.8175
94 O 0.5492 0.4251 0.5103
95 O 0.5571 0.7938 0.8304
96 O 0.5708 0.1101 0.8304
97 O 0.5749 0.1241 0.1770
98 O 0.5790 0.1264 0.4842
99 O 0.6611 0.6605 0.1628
100 O 0.6635 0.3266 0.3306
101 O 0.6631 0.3365 0.6639
102 O 0.6684 0.6754 0.8286
103 O 0.6701 0.6654 0.4966
104 O 0.6734 0.3369 0.9972
105 O 0.7560 0.8769 0.6776
106 O 0.7558 0.8766 0.9842
107 O 0.7654 0.8881 0.3296
108 O 0.7754 0.2094 0.3268
109 O 0.7844 0.5772 0.6475
110 O 0.7865 0.5807 0.3400
111 O 0.7906 0.5660 0.9935
112 O 0.7929 0.2156 0.9808
113 O 0.7942 0.2135 0.6734
114 O 0.8736 0.4525 0.1509
115 O 0.8760 0.0846 0.4858
116 O 0.8759 0.4508 0.8437
117 O 0.8791 0.1017 0.8307
118 O 0.8798 0.0892 0.1796
119 O 0.8899 0.4607 0.4971
120 O 0.8983 0.7774 0.4974
121 O 0.9108 0.7907 0.8462
122 O 0.9154 0.7914 0.1524
123 O 0.9947 0.0019 0.3348
124 O 0.9952 0.3299 0.8300
125 O 0.9981 0.9928 0.0014
126 O 0.9994 0.3389 0.4961

Space group: P3_2 (145)
Formation energy (kJ per mole of atoms): -219.2
Total magnetic moment (μB/cell): 0.00


> The highest total magnetic moment belongs to which entry?

Sr2VMoO6


> Which of these has the highest formation energy?

Li2MoO4


What did the second record say?
The following is a DFT calculation (PBE+U) of a relaxed Rb2MoO2F4 crystal.

Unit cell a=7.2045 b=7.9604 c=7.9604 alpha=134.45 beta=90.00 gamma=90.00
Fractional coordinates of all 18 atoms:
1 Rb 0.2500 0.0556 0.9444
2 Rb 0.2500 0.7238 0.2542
3 Rb 0.7500 0.2542 0.7238
4 Rb 0.7500 0.9444 0.0556
5 Mo 0.2500 0.3920 0.6187
6 Mo 0.7500 0.6187 0.3920
7 O 0.0623 0.5702 0.8043
8 O 0.4377 0.5702 0.8043
9 O 0.5623 0.8043 0.5702
10 O 0.9377 0.8043 0.5702
11 F 0.0708 0.1202 0.3607
12 F 0.2500 0.2177 0.7145
13 F 0.2500 0.4771 0.4428
14 F 0.4292 0.1202 0.3607
15 F 0.5708 0.3607 0.1202
16 F 0.7500 0.4428 0.4771
17 F 0.7500 0.7145 0.2177
18 F 0.9292 0.3607 0.1202

Space group: Ama2 (40)
Formation energy (kJ per mole of atoms): -259.9
Total magnetic moment (μB/cell): 0.00
Energy above the most stable polymorph in this dataset (meV per atom): 0.0


Copy entry 2 word for word.
The following is a DFT calculation (PBE+U) of a relaxed Rb2MoO2F4 crystal.

Unit cell a=7.2045 b=7.9604 c=7.9604 alpha=134.45 beta=90.00 gamma=90.00
Fractional coordinates of all 18 atoms:
1 Rb 0.2500 0.0556 0.9444
2 Rb 0.2500 0.7238 0.2542
3 Rb 0.7500 0.2542 0.7238
4 Rb 0.7500 0.9444 0.0556
5 Mo 0.2500 0.3920 0.6187
6 Mo 0.7500 0.6187 0.3920
7 O 0.0623 0.5702 0.8043
8 O 0.4377 0.5702 0.8043
9 O 0.5623 0.8043 0.5702
10 O 0.9377 0.8043 0.5702
11 F 0.0708 0.1202 0.3607
12 F 0.2500 0.2177 0.7145
13 F 0.2500 0.4771 0.4428
14 F 0.4292 0.1202 0.3607
15 F 0.5708 0.3607 0.1202
16 F 0.7500 0.4428 0.4771
17 F 0.7500 0.7145 0.2177
18 F 0.9292 0.3607 0.1202

Space group: Ama2 (40)
Formation energy (kJ per mole of atoms): -259.9
Total magnetic moment (μB/cell): 0.00
Energy above the most stable polymorph in this dataset (meV per atom): 0.0